[1]
PBE Ca2Mg5Si8O24, relaxed; SG = No. 12; energy relative to the lowest polymorph listed for this composition = 214 meV/atom
1.0
5.338 -9.732 0.000
5.338 9.732 0.000
-1.371 0.000 5.296
Ca Mg Si O
2 5 8 24
Direct
0.186 0.814 0.000
0.814 0.186 0.000
0.320 0.680 0.500
0.367 0.633 0.000
0.500 0.500 0.500
0.633 0.367 0.000
0.680 0.320 0.500
0.142 0.290 0.656
0.163 0.333 0.177
0.290 0.142 0.656
0.333 0.163 0.177
0.667 0.837 0.823
0.710 0.858 0.344
0.837 0.667 0.823
0.858 0.710 0.344
0.047 0.267 0.369
0.052 0.276 0.892
0.142 0.142 0.634
0.216 0.661 0.778
0.267 0.047 0.369
0.267 0.267 0.190
0.271 0.507 0.249
0.276 0.052 0.892
0.300 0.442 0.724
0.339 0.784 0.222
0.442 0.300 0.724
0.493 0.729 0.751
0.507 0.271 0.249
0.558 0.700 0.276
0.661 0.216 0.778
0.700 0.558 0.276
0.724 0.948 0.108
0.729 0.493 0.751
0.733 0.733 0.810
0.733 0.953 0.631
0.784 0.339 0.222
0.858 0.858 0.366
0.948 0.724 0.108
0.953 0.733 0.631


[2]
PBE CaAl6H12S4O28, relaxed; SG = No. 166
1.0
3.529 2.037 11.311
-3.529 2.037 11.311
0.000 -4.075 11.311
Ca Al H S O
1 6 12 4 28
Direct
0.000 0.000 0.000
0.251 0.251 0.746
0.251 0.746 0.251
0.254 0.749 0.749
0.746 0.251 0.251
0.749 0.254 0.749
0.749 0.749 0.254
0.076 0.634 0.634
0.142 0.142 0.547
0.142 0.547 0.142
0.366 0.366 0.924
0.366 0.924 0.366
0.453 0.858 0.858
0.547 0.142 0.142
0.634 0.076 0.634
0.634 0.634 0.076
0.858 0.453 0.858
0.858 0.858 0.453
0.924 0.366 0.366
0.150 0.150 0.150
0.345 0.345 0.345
0.655 0.655 0.655
0.850 0.850 0.850
0.057 0.057 0.693
0.057 0.693 0.057
0.095 0.749 0.749
0.168 0.557 0.557
0.193 0.193 0.193
0.245 0.245 0.590
0.245 0.590 0.245
0.251 0.251 0.905
0.251 0.905 0.251
0.302 0.302 0.302
0.307 0.943 0.943
0.410 0.755 0.755
0.443 0.443 0.832
0.443 0.832 0.443
0.557 0.168 0.557
0.557 0.557 0.168
0.590 0.245 0.245
0.693 0.057 0.057
0.698 0.698 0.698
0.749 0.095 0.749
0.749 0.749 0.095
0.755 0.410 0.755
0.755 0.755 0.410
0.807 0.807 0.807
0.832 0.443 0.443
0.905 0.251 0.251
0.943 0.307 0.943
0.943 0.943 0.307


no.,energy of formation (eV per formula unit),total magnetic moment (μB per cell)
1,-115.2,2.0
2,-114.2,0.0